Ta2NbRu: optimized geometry, PBE.

Cell: 6.470 6.470 6.470 Å, 90.00 90.00 90.00°
Space group Fm-3m (No. 225)
Symmetry-distinct sites (fractional):
1 Ta 0.250 0.250 0.250 (multiplicity 8)
2 Nb 0.000 0.000 0.000 (multiplicity 4)
3 Ru 0.000 0.000 0.500 (multiplicity 4)

Properties
Formation enthalpy at 0 K, eV/atom: -0.264
Mass density, g/cm³: 13.63
E_tot, eV/cell: -176.6